! LuAsO4 GGA-PBE optimized geometry; values from VASP
&SYSTEM
  ibrav = 0, nat = 12, ntyp = 3
/
ATOMIC_SPECIES
As 74.92 As.upf
O 16.00 O.upf
Lu 174.97 Lu.upf
ATOMIC_POSITIONS crystal
As 0.750 0.250 0.500
As 0.500 0.500 0.000
O 0.385 0.069 0.317
O 0.319 0.502 0.183
O 0.931 0.615 0.683
O 0.865 0.681 0.183
O 0.498 0.681 0.817
O 0.319 0.135 0.817
O 0.931 0.248 0.317
O 0.752 0.069 0.683
Lu 0.000 0.000 0.000
Lu 0.250 0.750 0.500
CELL_PARAMETERS angstrom
-0.199 1.110 5.760
-3.992 2.828 -3.243
-1.073 -5.735 -0.642
! - VASP energy: -7.2290 eV per atom



! LuAsPt GGA-PBE optimized geometry; values from VASP
&SYSTEM
  ibrav = 0, nat = 12, ntyp = 3
/
ATOMIC_SPECIES
Lu 174.97 Lu.upf
Pt 195.08 Pt.upf
As 74.92 As.upf
ATOMIC_POSITIONS crystal
Lu 0.000 0.000 0.250
Lu 0.000 0.000 0.750
Lu 0.000 0.000 0.500
Lu 0.000 0.000 0.000
Pt 0.333 0.667 0.136
Pt 0.667 0.333 0.636
Pt 0.667 0.333 0.864
Pt 0.333 0.667 0.364
As 0.667 0.333 0.386
As 0.333 0.667 0.886
As 0.333 0.667 0.614
As 0.667 0.333 0.114
CELL_PARAMETERS angstrom
-2.810 3.058 0.867
-1.187 -3.396 -2.248
-3.853 -7.206 12.920
! - VASP energy: -6.2383 eV per atom



! LuAsSe GGA-PBE optimized geometry; values from VASP
&SYSTEM
  ibrav = 0, nat = 12, ntyp = 3
/
ATOMIC_SPECIES
As 74.92 As.upf
Se 78.96 Se.upf
Lu 174.97 Lu.upf
ATOMIC_POSITIONS crystal
As 0.750 0.730 0.999
As 0.250 0.230 0.501
As 0.750 0.770 0.499
As 0.250 0.270 0.001
Se 0.250 0.758 0.312
Se 0.750 0.258 0.188
Se 0.750 0.242 0.688
Se 0.250 0.742 0.812
Lu 0.250 0.759 0.139
Lu 0.750 0.259 0.361
Lu 0.250 0.741 0.639
Lu 0.750 0.241 0.861
CELL_PARAMETERS angstrom
-1.329 -2.441 2.680
3.577 -1.374 0.522
2.782 11.872 12.194
! - VASP energy: -5.5813 eV per atom



! Mg2As GGA-PBE optimized geometry; values from VASP
&SYSTEM
  ibrav = 0, nat = 6, ntyp = 2
/
ATOMIC_SPECIES
Mg 24.30 Mg.upf
As 74.92 As.upf
ATOMIC_POSITIONS crystal
Mg 0.737 0.263 0.750
Mg 0.066 0.934 0.250
Mg 0.263 0.737 0.250
Mg 0.934 0.066 0.750
As 0.338 0.662 0.750
As 0.662 0.338 0.250
CELL_PARAMETERS angstrom
2.111 -8.625 0.000
2.111 8.625 0.000
0.000 0.000 4.586
! - VASP energy: -2.9537 eV per atom



! Mg2As GGA-PBE optimized geometry; values from VASP
&SYSTEM
  ibrav = 0, nat = 6, ntyp = 2
/
ATOMIC_SPECIES
Mg 24.30 Mg.upf
As 74.92 As.upf
ATOMIC_POSITIONS crystal
Mg 0.745 0.500 0.245
Mg 0.803 0.803 0.000
Mg 0.197 0.197 0.000
Mg 0.255 0.500 0.755
As 0.644 0.144 0.500
As 0.356 0.856 0.500
CELL_PARAMETERS angstrom
6.745 0.313 1.187
2.762 -3.315 5.327
-3.592 -0.395 -5.826
! - VASP energy: -2.9676 eV per atom



! Mg3As2 GGA-PBE optimized geometry; values from VASP
&SYSTEM
  ibrav = 0, nat = 40, ntyp = 2
/
ATOMIC_SPECIES
As 74.92 As.upf
Mg 24.30 Mg.upf
ATOMIC_POSITIONS crystal
As 0.250 0.522 0.272
As 0.522 0.272 0.250
As 0.500 0.500 0.000
As 0.750 0.978 0.228
As 0.000 0.500 0.500
As 0.250 0.022 0.772
As 0.272 0.250 0.522
As 0.772 0.250 0.022
As 0.022 0.772 0.250
As 0.000 0.000 0.000
As 0.478 0.728 0.750
As 0.750 0.478 0.728
As 0.228 0.750 0.978
As 0.978 0.228 0.750
As 0.500 0.000 0.500
As 0.728 0.750 0.478
Mg 0.765 0.734 0.241
Mg 0.235 0.266 0.759
Mg 0.993 0.524 0.259
Mg 0.969 0.735 0.976
Mg 0.266 0.759 0.235
Mg 0.507 0.766 0.531
Mg 0.531 0.507 0.766
Mg 0.524 0.259 0.993
Mg 0.476 0.741 0.007
Mg 0.493 0.234 0.469
Mg 0.024 0.031 0.265
Mg 0.241 0.765 0.734
Mg 0.031 0.265 0.024
Mg 0.259 0.993 0.524
Mg 0.741 0.007 0.476
Mg 0.734 0.241 0.765
Mg 0.759 0.235 0.266
Mg 0.469 0.493 0.234
Mg 0.007 0.476 0.741
Mg 0.265 0.024 0.031
Mg 0.766 0.531 0.507
Mg 0.234 0.469 0.493
Mg 0.976 0.969 0.735
Mg 0.735 0.976 0.969
CELL_PARAMETERS angstrom
-6.238 6.238 6.238
6.238 -6.238 6.238
6.238 6.238 -6.238
! - Relative energy among the computed polymorphs: 0.000 eV per atom
! - VASP energy: -3.4499 eV per atom



no.,ΔH_f (0 K) (eV per atom)
1,-2.86
2,-1.15
3,-1.51
4,-0.33
5,-0.35
6,-0.63